[1]
Below is DyGa3Ru after structural relaxation, with properties calculated at the GGA-PBE level.

POSCAR file:
```
DyGa3Ru
1.0
6.439 0.000 0.000
0.000 6.439 0.000
0.000 0.000 6.439
Ga Ru Dy
9 3 3
Cartesian
3.220 3.220 3.220
5.082 5.082 5.082
5.082 1.357 1.357
1.357 1.357 1.357
5.082 5.082 1.357
1.357 5.082 1.357
5.082 1.357 5.082
1.357 5.082 5.082
1.357 1.357 5.082
0.000 3.220 0.000
3.220 0.000 0.000
0.000 0.000 3.220
0.000 3.220 3.220
3.220 0.000 3.220
3.220 3.220 0.000
```

=====

[2]
Below is CaN2Cl2 after structural relaxation, with properties calculated at the GGA-PBE level.

POSCAR file:
```
CaN2Cl2
1.0
1.427 2.393 6.604
-3.598 -6.190 -0.342
4.906 -2.850 -0.027
Cl Ca N
4 2 4
Cartesian
-0.092 -5.817 1.099
1.418 2.377 6.591
-1.095 -1.915 3.118
2.420 -1.526 4.572
0.113 -2.701 5.388
3.634 -2.218 2.244
0.659 -5.045 4.157
1.150 0.900 3.273
1.317 -2.898 1.028
4.060 -3.320 6.382
```

=====

[3]
Below is Hg5Au6 after structural relaxation, with properties calculated at the GGA-PBE level.

POSCAR file:
```
Hg5Au6
1.0
-6.692 -1.300 -2.329
5.639 -2.816 -3.489
-0.468 -8.450 6.062
Hg Au
10 12
Cartesian
-0.967 -8.746 1.143
-2.816 -6.030 0.315
1.529 -2.310 -3.103
1.989 -7.506 3.099
-4.032 -2.873 0.153
-3.128 -6.877 3.580
-0.554 -3.820 -0.899
1.294 -6.536 -0.071
-2.582 -1.805 -2.716
3.182 -3.760 -0.526
1.294 -1.608 -0.161
3.877 -9.658 2.734
-0.984 -6.423 -2.070
-5.381 -6.151 1.929
-1.649 -1.246 0.116
-0.854 -4.069 -3.759
-0.668 -8.497 4.003
4.007 -7.305 1.046
-5.512 -8.504 3.617
-1.779 -3.600 1.804
1.163 -3.961 1.527
-0.537 -6.143 2.314
```

=====

[4]
Below is Ho2Ni10B5 after structural relaxation, with properties calculated at the GGA-PBE level.

POSCAR file:
```
Ho2Ni10B5
1.0
8.963 0.000 0.000
0.000 9.469 0.000
0.000 0.000 17.566
B Ni Ho
40 80 16
Cartesian
8.616 0.170 1.439
4.135 4.564 16.127
4.897 3.387 11.516
7.056 6.134 16.495
0.208 8.869 14.463
4.828 4.905 1.439
8.547 8.121 11.516
7.470 8.057 5.848
0.415 1.348 6.050
0.415 3.387 14.833
6.388 1.399 16.495
4.273 0.600 5.680
2.988 6.147 11.717
4.897 1.348 2.733
0.208 5.335 5.680
8.754 0.600 3.103
1.907 1.399 9.854
0.347 9.299 16.127
8.754 4.135 11.886
8.547 6.083 2.733
2.574 6.134 9.854
4.828 9.299 10.222
4.273 4.135 14.463
6.388 3.335 7.712
4.066 6.083 6.050
4.135 0.170 7.344
8.616 4.564 10.222
1.493 3.322 2.934
7.470 6.147 14.631
4.690 8.869 11.886
5.974 1.413 14.631
0.347 4.905 7.344
7.056 8.070 7.712
5.974 3.322 5.848
2.988 8.057 2.934
1.907 3.335 1.071
1.493 1.413 11.717
4.066 8.121 14.833
4.690 5.335 3.103
2.574 8.070 1.071
6.891 3.722 11.150
4.862 0.208 15.871
0.380 4.527 1.695
3.346 7.801 12.947
5.616 1.669 4.619
0.706 5.812 9.053
1.085 5.100 3.987
0.725 3.153 17.014
4.862 4.527 7.088
3.775 1.077 9.053
8.582 9.262 7.088
6.073 4.791 15.270
3.775 3.658 0.270
3.346 6.403 4.164
0.390 2.666 10.514
0.390 2.069 1.731
1.592 4.791 11.079
0.380 0.208 10.477
3.025 2.070 2.242
3.664 6.126 14.924
8.145 8.078 2.642
7.370 4.679 6.487
1.456 6.804 2.242
1.456 7.400 11.025
1.135 3.066 12.947
8.257 1.077 17.296
6.553 5.747 2.367
5.207 3.153 9.335
2.410 1.013 6.416
6.553 8.457 11.150
2.410 3.722 15.198
7.828 6.403 4.619
2.889 0.056 11.079
5.937 7.400 15.324
0.817 3.343 6.141
0.817 1.392 14.924
8.237 6.317 0.552
6.073 9.413 6.487
1.085 9.104 12.770
8.572 7.401 15.834
6.891 1.013 2.367
7.507 2.665 15.324
4.101 4.943 10.477
7.370 0.056 15.270
3.756 7.888 17.014
7.507 2.070 6.541
2.072 5.747 6.416
0.725 1.582 8.231
5.616 3.066 13.402
4.091 6.804 1.731
8.572 6.804 7.052
3.025 2.665 11.025
1.135 1.669 4.164
5.299 3.343 2.642
2.072 8.457 15.198
8.257 3.658 8.513
5.566 9.104 13.578
5.187 8.393 8.513
3.396 4.370 12.770
4.872 2.069 7.052
5.566 5.100 4.796
7.878 4.370 13.578
4.872 2.666 15.834
8.582 4.943 15.871
7.828 7.801 13.402
7.878 0.365 4.796
3.664 8.078 6.141
5.299 1.392 11.425
0.706 8.393 0.270
3.396 0.365 3.987
1.592 9.413 2.296
8.145 6.126 11.425
4.091 7.401 10.514
2.889 4.679 2.296
4.101 9.262 1.695
5.937 6.804 6.541
5.187 5.812 17.296
5.207 1.582 0.552
8.237 7.888 9.335
3.756 6.317 8.231
1.109 6.071 13.665
7.853 3.398 3.900
5.591 8.133 3.900
6.449 8.400 0.352
6.995 1.069 9.134
2.514 3.666 8.431
7.853 1.337 12.683
3.372 1.337 13.665
6.449 5.804 9.134
1.967 8.400 8.431
1.967 5.804 17.214
6.995 3.666 0.352
3.372 3.398 4.883
1.109 8.133 4.883
2.514 1.069 17.214
5.591 6.071 12.683
```

=====

[5]
Below is Mg16Al12Tc after structural relaxation, with properties calculated at the GGA-PBE level.

POSCAR file:
```
Mg16Al12Tc
1.0
7.686 -4.437 3.138
-0.148 8.448 2.896
-7.390 -4.096 2.896
Al Mg Tc
12 16 1
Cartesian
1.427 0.687 2.735
-6.111 2.002 4.234
4.878 3.936 4.379
6.140 1.587 4.321
5.026 -2.901 3.760
-4.642 -2.646 3.473
-0.970 -6.192 4.379
-0.029 5.343 3.473
1.696 -6.111 4.321
-4.789 4.291 4.234
-1.398 0.807 2.856
0.119 -1.579 2.735
2.512 -1.451 4.582
-2.301 -1.388 4.525
-2.594 -1.502 1.062
-4.446 0.261 2.697
-2.449 3.720 2.697
0.199 -3.455 4.889
7.608 -4.392 3.106
-5.025 -0.451 5.633
3.092 1.555 4.889
0.051 2.687 4.525
-7.386 -1.099 3.958
0.152 -0.087 5.751
4.370 -0.293 2.572
-1.974 -3.870 2.737
2.439 -3.638 2.572
-3.168 1.829 5.212
2.105 -1.215 0.859
```

=====

[6]
Ti3Cr3Si5 (GGA-PBE, relaxed); energy above the most stable polymorph in this dataset = 0.190 eV per atom
1.0
0.000 0.000 -4.944
0.000 -8.086 0.000
-7.621 -4.043 -2.472
Ti Cr Si
6 6 10
Cartesian
-6.192 -6.347 -2.472
-1.430 -5.783 -4.944
-1.430 -2.303 -4.944
0.000 0.000 -1.203
-6.192 -9.826 -2.472
0.000 0.000 -3.741
-3.811 -2.022 -1.236
-5.426 -8.086 -4.944
-2.195 -4.043 -2.472
-3.811 -6.065 -3.708
-3.811 -2.022 -3.708
-3.811 -6.065 -1.236
-3.360 -4.043 -4.944
-1.707 -6.457 -2.472
-4.262 -8.086 -2.472
-5.914 -10.500 -4.944
-2.786 -8.086 -4.944
0.000 -4.043 -3.654
-4.836 -4.043 -2.472
-1.707 -1.629 -2.472
0.000 -4.043 -1.290
-5.914 -5.673 -4.944

=====

[7]
Below is GdTe after structural relaxation, with properties calculated at the GGA-PBE level.

POSCAR file:
```
GdTe
1.0
2.084 -3.609 0.000
2.084 3.609 0.000
0.000 0.000 4.112
Te Gd
1 1
Cartesian
2.084 -1.203 0.000
0.000 0.000 2.056
```

=====

[8]
SbP4O12 (GGA-PBE, relaxed); energy above the most stable polymorph in this dataset = 0.018 eV per atom
1.0
14.058 0.000 0.000
0.000 5.385 0.000
0.000 1.180 7.292
O P Sb
24 8 2
Cartesian
5.071 5.594 1.694
12.188 4.565 3.802
3.710 6.257 6.959
5.159 2.000 3.490
12.623 3.065 7.032
13.936 0.982 3.864
8.561 2.123 3.551
2.239 1.477 3.304
11.630 1.607 3.162
8.629 0.489 1.630
6.907 5.583 3.428
5.594 3.500 0.260
12.101 0.971 5.598
10.461 2.944 5.580
9.881 3.645 1.478
1.546 0.830 0.561
3.432 3.622 1.712
1.600 6.077 5.662
1.532 4.442 3.741
2.851 2.920 5.814
8.575 5.735 6.731
4.601 4.959 4.130
9.268 5.088 3.988
10.739 0.308 0.333
8.405 0.660 3.179
1.375 5.905 4.114
4.507 4.298 0.815
5.358 0.522 3.210
12.388 6.044 4.082
2.373 1.732 6.684
11.536 2.267 6.477
9.402 4.833 0.608
10.370 3.342 3.548
3.340 3.223 3.744

=====

[9]
Below is CaCO3 after structural relaxation, with properties calculated at the GGA-PBE level.

POSCAR file:
```
CaCO3
1.0
6.001 0.034 -1.791
-2.109 6.139 -0.391
0.079 0.073 6.493
Ca O C
4 12 4
Cartesian
-1.305 4.830 4.095
2.612 2.129 3.860
1.359 4.117 0.452
5.276 1.416 0.217
1.193 3.998 4.544
3.599 5.170 0.046
-0.565 3.860 1.877
2.778 2.249 -0.232
1.622 1.748 1.619
3.126 0.280 0.755
0.372 1.076 4.266
-1.386 4.535 -0.097
2.349 4.498 2.692
5.357 1.711 4.409
4.536 2.386 2.435
0.845 5.967 3.557
2.488 1.389 0.713
-1.464 4.511 1.171
1.483 4.857 3.599
5.435 1.735 3.141
```

=====

[10]
Mo3WSe4S4 (GGA-PBE, relaxed); energy above the most stable polymorph in this dataset = 0.000 eV per atom
1.0
1.626 -2.817 0.000
1.626 2.817 0.000
0.000 0.000 36.854
S Mo Se W
4 3 4 1
Cartesian
0.000 0.000 11.931
1.626 0.939 15.759
1.626 0.939 18.858
0.000 0.000 8.840
1.626 0.939 24.233
0.000 0.000 3.460
1.626 0.939 10.386
0.000 0.000 25.932
0.000 0.000 22.534
1.626 0.939 5.161
1.626 0.939 1.761
0.000 0.000 17.309

=====

[11]
Below is Na2Al2Sb3 after structural relaxation, with properties calculated at the GGA-PBE level.

POSCAR file:
```
Na2Al2Sb3
1.0
-6.894 -2.356 0.490
2.703 -9.947 -9.805
4.202 -9.972 11.171
Al Na Sb
16 16 24
Cartesian
2.372 -12.155 6.441
-0.807 -15.293 1.038
-1.008 -13.468 4.884
2.839 -13.889 2.577
0.047 -18.136 -0.347
-2.361 -10.120 -4.586
1.483 -9.324 7.829
-0.036 -4.139 2.202
-1.472 -12.952 -5.973
3.179 -15.367 -0.360
-1.270 -11.963 7.815
1.018 -8.807 -3.029
-3.169 -6.908 2.215
1.281 -10.312 -5.960
0.818 -6.983 0.817
-2.829 -8.386 -0.721
2.881 -17.233 4.785
3.304 -11.385 -0.980
-3.050 -3.188 0.748
-0.707 -10.930 -0.723
-1.118 -16.774 5.041
-0.095 -20.707 3.024
-3.816 -9.154 6.538
1.129 -5.501 -3.185
0.106 -1.568 -1.169
3.826 -13.122 -4.682
-0.621 -7.520 4.617
0.718 -11.345 2.578
-2.870 -5.042 -2.929
3.060 -19.087 1.107
0.632 -14.755 -2.762
-3.293 -10.890 2.835
-1.153 -10.477 -7.081
-0.154 -4.786 -0.438
-1.851 -16.420 -1.297
4.319 -16.154 2.009
-2.549 -14.025 2.703
1.862 -7.665 -5.393
1.164 -11.798 8.936
-2.188 -4.843 3.684
-1.158 -10.749 5.357
1.862 -5.856 3.152
2.198 -17.432 -1.829
-1.172 -8.674 1.465
3.121 -11.413 -7.629
1.183 -13.601 0.390
-1.624 -12.397 -3.314
1.168 -11.526 -3.502
1.635 -9.878 5.170
-1.559 -7.983 -3.102
-1.852 -14.610 7.248
-3.110 -10.862 9.484
-4.308 -6.121 -0.154
2.559 -8.250 -0.848
1.570 -14.292 4.957
0.164 -17.490 2.293
```

=====

no.,calculated formation energy (eV per atom),uncorrected energy (eV per atom)
1,-0.59,-5.1806
2,0.51,-3.7223
3,0.02,-1.9044
4,-0.47,-6.3755
5,-0.01,-2.7973
6,-0.38,-7.6679
7,-1.60,-9.9984
8,-2.36,-6.8835
9,-2.67,-7.4715
10,-0.91,-7.0793
11,-0.37,-3.5045